Density functional theory data (r2SCAN) for a relaxed structure of AcAu3.

abc: 6.923 6.923 4.690
angles: 90.00 90.00 120.00
Fractional positions:
Ac 0.333 0.667 0.250
Ac 0.667 0.333 0.750
Au 0.146 0.292 0.750
Au 0.146 0.854 0.750
Au 0.292 0.146 0.250
Au 0.708 0.854 0.750
Au 0.854 0.146 0.250
Au 0.854 0.708 0.250

V	24.3	Å³ per atom
raw total energy	-55.8694	eV/atom
density	14.0	g/cm3
energy relative to the elements	-0.771	eV/atom